Entry 1:
{
  "formula": "Cr2Fe3SbP6O24",
  "functional": "GGA+U",
  "state": "optimized geometry",
  "e_form_ev_per_atom": -2.336,
  "final_energy_ev_per_atom": -7.137,
  "sg": "R3",
  "lattice_angstrom": [[-6.796, 4.628, -2.454], [-7.613, -1.427, 3.692], [-3.243, 5.870, 5.352]],
  "species": ["O", "O", "O", "O", "O", "O", "O", "O", "O", "O", "O", "O", "O", "O", "O", "O", "O", "O", "O", "O", "O", "O", "O", "O", "Cr", "Cr", "P", "P", "P", "P", "P", "P", "Fe", "Fe", "Fe", "Sb"],
  "fractional_positions": [[0.389, 0.990, 0.183], [0.009, 0.819, 0.610], [0.685, 0.485, 0.900], [0.069, 0.911, 0.254], [0.485, 0.900, 0.685], [0.407, 0.556, 0.753], [0.753, 0.407, 0.556], [0.941, 0.090, 0.739], [0.090, 0.739, 0.941], [0.610, 0.009, 0.819], [0.497, 0.109, 0.320], [0.593, 0.438, 0.253], [0.320, 0.497, 0.109], [0.556, 0.753, 0.407], [0.819, 0.610, 0.009], [0.438, 0.253, 0.593], [0.183, 0.389, 0.990], [0.900, 0.685, 0.485], [0.990, 0.183, 0.389], [0.253, 0.593, 0.438], [0.254, 0.069, 0.911], [0.911, 0.254, 0.069], [0.739, 0.941, 0.090], [0.109, 0.320, 0.497], [0.996, 0.996, 0.996], [0.502, 0.502, 0.502], [0.547, 0.951, 0.254], [0.951, 0.254, 0.547], [0.746, 0.460, 0.049], [0.460, 0.049, 0.746], [0.049, 0.746, 0.460], [0.254, 0.547, 0.951], [0.644, 0.644, 0.644], [0.356, 0.356, 0.356], [0.854, 0.854, 0.854], [0.144, 0.144, 0.144]]
}

Entry 2:
{
  "formula": "CrFe3Sb2P6O24",
  "functional": "GGA+U",
  "state": "optimized geometry",
  "e_form_ev_per_atom": -2.354,
  "final_energy_ev_per_atom": -7.057,
  "sg": "R3",
  "lattice_angstrom": [[-8.347, -1.044, -2.730], [-1.927, -4.882, -7.118], [-4.138, -7.780, 0.750]],
  "species": ["O", "O", "O", "O", "O", "O", "O", "O", "O", "O", "O", "O", "O", "O", "O", "O", "O", "O", "O", "O", "O", "O", "O", "O", "P", "P", "P", "P", "P", "P", "Sb", "Sb", "Fe", "Fe", "Fe", "Cr"],
  "fractional_positions": [[0.561, 0.767, 0.417], [0.583, 0.440, 0.234], [0.303, 0.508, 0.116], [0.884, 0.700, 0.491], [0.802, 0.617, 0.008], [0.234, 0.583, 0.440], [0.440, 0.234, 0.583], [0.918, 0.268, 0.061], [0.700, 0.491, 0.884], [0.116, 0.303, 0.508], [0.008, 0.802, 0.617], [0.199, 0.382, 0.992], [0.268, 0.061, 0.918], [0.061, 0.918, 0.268], [0.941, 0.083, 0.733], [0.491, 0.884, 0.700], [0.617, 0.008, 0.802], [0.083, 0.733, 0.941], [0.382, 0.992, 0.199], [0.508, 0.116, 0.303], [0.733, 0.941, 0.083], [0.767, 0.417, 0.561], [0.417, 0.561, 0.767], [0.992, 0.199, 0.382], [0.961, 0.250, 0.538], [0.250, 0.538, 0.961], [0.459, 0.041, 0.751], [0.041, 0.751, 0.459], [0.538, 0.961, 0.250], [0.751, 0.459, 0.041], [0.997, 0.997, 0.997], [0.500, 0.500, 0.500], [0.351, 0.351, 0.351], [0.851, 0.851, 0.851], [0.649, 0.649, 0.649], [0.146, 0.146, 0.146]]
}

Entry 3:
{
  "formula": "Cr2Fe3SnP6O24",
  "functional": "GGA+U",
  "state": "optimized geometry",
  "e_form_ev_per_atom": -2.378,
  "final_energy_ev_per_atom": -7.175,
  "sg": "R3",
  "lattice_angstrom": [[7.404, -4.336, 0.000], [7.404, 4.336, 0.000], [4.865, 0.000, 7.067]],
  "species": ["O", "O", "O", "O", "O", "O", "O", "O", "O", "O", "O", "O", "O", "O", "O", "O", "O", "O", "O", "O", "O", "O", "O", "O", "Cr", "Cr", "P", "P", "P", "P", "P", "P", "Fe", "Fe", "Fe", "Sn"],
  "fractional_positions": [[0.254, 0.909, 0.063], [0.504, 0.320, 0.108], [0.589, 0.247, 0.435], [0.497, 0.683, 0.890], [0.410, 0.754, 0.560], [0.815, 0.016, 0.603], [0.108, 0.504, 0.320], [0.063, 0.254, 0.909], [0.744, 0.093, 0.940], [0.391, 0.181, 0.995], [0.754, 0.560, 0.410], [0.016, 0.603, 0.815], [0.995, 0.391, 0.181], [0.940, 0.744, 0.093], [0.320, 0.108, 0.504], [0.603, 0.815, 0.016], [0.093, 0.940, 0.744], [0.909, 0.063, 0.254], [0.247, 0.435, 0.589], [0.435, 0.589, 0.247], [0.181, 0.995, 0.391], [0.890, 0.497, 0.683], [0.560, 0.410, 0.754], [0.683, 0.890, 0.497], [0.003, 0.003, 0.003], [0.499, 0.499, 0.499], [0.049, 0.450, 0.747], [0.542, 0.254, 0.953], [0.747, 0.049, 0.450], [0.254, 0.953, 0.542], [0.450, 0.747, 0.049], [0.953, 0.542, 0.254], [0.353, 0.353, 0.353], [0.147, 0.147, 0.147], [0.645, 0.645, 0.645], [0.855, 0.855, 0.855]]
}

Entry 4:
{
  "formula": "Cr2Fe3TeP6O24",
  "functional": "GGA+U",
  "state": "optimized geometry",
  "e_form_ev_per_atom": -2.300,
  "final_energy_ev_per_atom": -7.073,
  "sg": "R3",
  "lattice_angstrom": [[7.385, -4.375, 0.000], [7.385, 4.375, 0.000], [4.792, 0.000, 7.121]],
  "species": ["O", "O", "O", "O", "O", "O", "O", "O", "O", "O", "O", "O", "O", "O", "O", "O", "O", "O", "O", "O", "O", "O", "O", "O", "P", "P", "P", "P", "P", "P", "Fe", "Fe", "Fe", "Te", "Cr", "Cr"],
  "fractional_positions": [[0.057, 0.898, 0.255], [0.005, 0.822, 0.605], [0.248, 0.592, 0.440], [0.592, 0.440, 0.248], [0.572, 0.749, 0.408], [0.897, 0.669, 0.503], [0.440, 0.248, 0.592], [0.898, 0.255, 0.057], [0.975, 0.178, 0.411], [0.317, 0.502, 0.109], [0.502, 0.109, 0.317], [0.095, 0.753, 0.934], [0.669, 0.503, 0.897], [0.178, 0.411, 0.975], [0.503, 0.897, 0.669], [0.753, 0.934, 0.095], [0.605, 0.005, 0.822], [0.822, 0.605, 0.005], [0.109, 0.317, 0.502], [0.411, 0.975, 0.178], [0.934, 0.095, 0.753], [0.749, 0.408, 0.572], [0.408, 0.572, 0.749], [0.255, 0.057, 0.898], [0.742, 0.458, 0.049], [0.945, 0.254, 0.558], [0.458, 0.049, 0.742], [0.049, 0.742, 0.458], [0.254, 0.558, 0.945], [0.558, 0.945, 0.254], [0.852, 0.852, 0.852], [0.648, 0.648, 0.648], [0.354, 0.354, 0.354], [0.148, 0.148, 0.148], [0.501, 0.501, 0.501], [0.997, 0.997, 0.997]]
}

Entry 5:
{
  "formula": "TiCr2Fe3P6O24",
  "functional": "GGA+U",
  "state": "optimized geometry",
  "e_form_ev_per_atom": -2.506,
  "final_energy_ev_per_atom": -7.411,
  "sg": "R3",
  "lattice_angstrom": [[-6.587, 5.418, 0.289], [-3.266, 2.177, 7.577], [1.247, 7.910, 2.949]],
  "species": ["O", "O", "O", "O", "O", "O", "O", "O", "O", "O", "O", "O", "O", "O", "O", "O", "O", "O", "O", "O", "O", "O", "O", "O", "P", "P", "P", "P", "P", "P", "Fe", "Fe", "Fe", "Cr", "Cr", "Ti"],
  "fractional_positions": [[0.063, 0.912, 0.255], [0.006, 0.818, 0.609], [0.090, 0.743, 0.939], [0.409, 0.554, 0.755], [0.492, 0.890, 0.685], [0.109, 0.319, 0.505], [0.439, 0.246, 0.591], [0.384, 0.004, 0.182], [0.004, 0.182, 0.384], [0.755, 0.409, 0.554], [0.591, 0.439, 0.246], [0.743, 0.939, 0.090], [0.319, 0.505, 0.109], [0.246, 0.591, 0.439], [0.685, 0.492, 0.890], [0.939, 0.090, 0.743], [0.890, 0.685, 0.492], [0.505, 0.109, 0.319], [0.609, 0.006, 0.818], [0.554, 0.755, 0.409], [0.255, 0.063, 0.912], [0.818, 0.609, 0.006], [0.912, 0.255, 0.063], [0.182, 0.384, 0.004], [0.455, 0.047, 0.750], [0.953, 0.251, 0.547], [0.251, 0.547, 0.953], [0.547, 0.953, 0.251], [0.750, 0.455, 0.047], [0.047, 0.750, 0.455], [0.354, 0.354, 0.354], [0.646, 0.646, 0.646], [0.853, 0.853, 0.853], [0.999, 0.999, 0.999], [0.499, 0.499, 0.499], [0.146, 0.146, 0.146]]
}

Entry 6:
{
  "formula": "Ti2CrFe3P6O24",
  "functional": "GGA+U",
  "state": "optimized geometry",
  "e_form_ev_per_atom": -2.564,
  "final_energy_ev_per_atom": -7.476,
  "sg": "R3",
  "lattice_angstrom": [[-2.159, -5.092, 6.227], [-1.983, -7.817, -2.081], [5.484, -5.921, 2.058]],
  "species": ["O", "O", "O", "O", "O", "O", "O", "O", "O", "O", "O", "O", "O", "O", "O", "O", "O", "O", "O", "O", "O", "O", "O", "O", "P", "P", "P", "P", "P", "P", "Fe", "Fe", "Fe", "Ti", "Ti", "Cr"],
  "fractional_positions": [[0.670, 0.499, 0.893], [0.058, 0.895, 0.252], [0.895, 0.252, 0.058], [0.934, 0.099, 0.757], [0.604, 0.440, 0.251], [0.611, 0.004, 0.826], [0.251, 0.604, 0.440], [0.513, 0.100, 0.326], [0.826, 0.611, 0.004], [0.893, 0.670, 0.499], [0.499, 0.893, 0.670], [0.399, 0.564, 0.742], [0.989, 0.171, 0.398], [0.171, 0.398, 0.989], [0.326, 0.513, 0.100], [0.099, 0.757, 0.934], [0.757, 0.934, 0.099], [0.564, 0.742, 0.399], [0.398, 0.989, 0.171], [0.100, 0.326, 0.513], [0.440, 0.251, 0.604], [0.252, 0.058, 0.895], [0.742, 0.399, 0.564], [0.004, 0.826, 0.611], [0.249, 0.549, 0.950], [0.950, 0.249, 0.549], [0.549, 0.950, 0.249], [0.749, 0.459, 0.044], [0.459, 0.044, 0.749], [0.044, 0.749, 0.459], [0.144, 0.144, 0.144], [0.645, 0.645, 0.645], [0.355, 0.355, 0.355], [0.006, 0.006, 0.006], [0.496, 0.496, 0.496], [0.860, 0.860, 0.860]]
}